Entry from Materials Project: a geometry-optimized Fe3CoSb2P6O24 structure (PBE with a Hubbard U).

Properties
energy relative to the elements: -80.97 eV per formula unit

Structure (CIF):
```
data_Fe3CoSb2P6O24
_space_group_name_H-M_alt 'R 3'
_space_group_IT_number 146
_space_group_name_Hall 'R 3'
_cell_length_a 8.6349
_cell_length_b 8.6349
_cell_length_c 21.7849
_cell_angle_alpha 90.00
_cell_angle_beta 90.00
_cell_angle_gamma 120.00
loop_
_atom_site_label
_atom_site_fract_x
_atom_site_fract_y
_atom_site_fract_z
Fe1 0.0000 0.0000 0.0000
Fe2 0.0000 0.0000 0.2034
Fe3 0.0000 0.0000 0.7021
Co1 0.0000 0.0000 0.4969
Sb1 0.0000 0.0000 0.3525
Sb2 0.0000 0.0000 0.8519
P1 0.0001 0.2855 0.5995
P2 0.0016 0.7095 0.1021
O1 0.0116 0.1976 0.5402
O2 0.0122 0.8081 0.0426
O3 0.0185 0.8338 0.7694
O4 0.0242 0.1885 0.2686
O5 0.1406 0.6730 0.8270
O6 0.1418 0.4690 0.3260
O7 0.1699 0.4795 0.5984
O8 0.1739 0.6887 0.1009
```

Entry from Materials Project: a geometry-optimized Fe3Co2TeP6O24 structure (PBE with a Hubbard U).

Properties
energy relative to the elements: -79.70 eV per formula unit

Structure (CIF):
```
data_Fe3Co2TeP6O24
_space_group_name_H-M_alt 'R 3'
_space_group_IT_number 146
_space_group_name_Hall 'R 3'
_cell_length_a 8.7326
_cell_length_b 8.7326
_cell_length_c 20.8930
_cell_angle_alpha 90.00
_cell_angle_beta 90.00
_cell_angle_gamma 120.00
loop_
_atom_site_label
_atom_site_fract_x
_atom_site_fract_y
_atom_site_fract_z
Fe1 0.0000 0.0000 0.0000
Fe2 0.0000 0.0000 0.2098
Fe3 0.0000 0.0000 0.5003
Co1 0.0000 0.0000 0.3544
Co2 0.0000 0.0000 0.8577
Te1 0.0000 0.0000 0.7097
P1 0.0064 0.2955 0.1048
P2 0.0323 0.6686 0.2708
O1 0.0080 0.2011 0.1658
O2 0.0115 0.8348 0.2792
O3 0.0164 0.1840 0.7810
O4 0.1223 0.6688 0.3362
O5 0.1399 0.4652 0.7109
O6 0.1453 0.6751 0.2149
O7 0.1665 0.6811 0.5980
O8 0.1675 0.4866 0.0974
```

Entry from Materials Project: a geometry-optimized TiFe3Co2P6O24 structure (PBE with a Hubbard U).

Properties
energy relative to the elements: -86.11 eV per formula unit

Structure (CIF):
```
data_TiFe3Co2P6O24
_space_group_name_H-M_alt 'R 3'
_space_group_IT_number 146
_space_group_name_Hall 'R 3'
_cell_length_a 8.6432
_cell_length_b 8.6432
_cell_length_c 20.4549
_cell_angle_alpha 90.00
_cell_angle_beta 90.00
_cell_angle_gamma 120.00
loop_
_atom_site_label
_atom_site_fract_x
_atom_site_fract_y
_atom_site_fract_z
Ti1 0.0000 0.0000 0.0000
Fe1 0.0000 0.0000 0.2901
Fe2 0.0000 0.0000 0.4998
Fe3 0.0000 0.0000 0.7886
Co1 0.0000 0.0000 0.1465
Co2 0.0000 0.0000 0.6453
P1 0.0004 0.7038 0.3943
P2 0.0366 0.3694 0.5605
O1 0.0052 0.8038 0.4562
O2 0.0105 0.1947 0.9548
O3 0.0123 0.8345 0.0695
O4 0.0168 0.1825 0.5726
O5 0.1400 0.6761 0.9994
O6 0.1406 0.4642 0.4994
O7 0.1664 0.4862 0.8853
O8 0.1660 0.6785 0.3846
```

Entry from Materials Project: a geometry-optimized Ti3FeCo2P6O24 structure (PBE with a Hubbard U).

Properties
energy relative to the elements: -96.62 eV per formula unit

Structure (CIF):
```
data_Ti3FeCo2P6O24
_space_group_name_H-M_alt 'R 3'
_space_group_IT_number 146
_space_group_name_Hall 'R 3'
_cell_length_a 8.6601
_cell_length_b 8.6601
_cell_length_c 20.8316
_cell_angle_alpha 90.00
_cell_angle_beta 90.00
_cell_angle_gamma 120.00
loop_
_atom_site_label
_atom_site_fract_x
_atom_site_fract_y
_atom_site_fract_z
Ti1 0.0000 0.0000 0.0000
Ti2 0.0000 0.0000 0.2149
Ti3 0.0000 0.0000 0.7134
Fe1 0.0000 0.0000 0.4992
Co1 0.0000 0.0000 0.3584
Co2 0.0000 0.0000 0.8575
P1 0.0416 0.3744 0.2727
P2 0.0415 0.6673 0.7737
O1 0.0015 0.1880 0.6666
O2 0.0022 0.8138 0.1672
O3 0.0205 0.1853 0.2796
O4 0.0233 0.8363 0.7791
O5 0.1382 0.4701 0.2122
O6 0.1519 0.6763 0.7142
O7 0.1660 0.4824 0.6037
O8 0.1669 0.6900 0.0997
```

Entry from Materials Project: a geometry-optimized Ti3Fe2CoP6O24 structure (PBE with a Hubbard U).

Properties
energy relative to the elements: -98.62 eV per formula unit

Structure (CIF):
```
data_Ti3Fe2CoP6O24
_space_group_name_H-M_alt 'R 3'
_space_group_IT_number 146
_space_group_name_Hall 'R 3'
_cell_length_a 8.6730
_cell_length_b 8.6730
_cell_length_c 20.7357
_cell_angle_alpha 90.00
_cell_angle_beta 90.00
_cell_angle_gamma 120.00
loop_
_atom_site_label
_atom_site_fract_x
_atom_site_fract_y
_atom_site_fract_z
Ti1 0.0000 0.0000 0.0000
Ti2 0.0000 0.0000 0.2137
Ti3 0.0000 0.0000 0.7108
Fe1 0.0000 0.0000 0.3593
Fe2 0.0000 0.0000 0.8568
Co1 0.0000 0.0000 0.4987
P1 0.9996 0.2932 0.6040
P2 0.0398 0.6674 0.7725
O1 0.0048 0.1906 0.6656
O2 0.0046 0.8137 0.1666
O3 0.0174 0.1829 0.2806
O4 0.0230 0.8376 0.7800
O5 0.1324 0.4632 0.2101
O6 0.1549 0.6830 0.7130
O7 0.1633 0.6873 0.0959
O8 0.1656 0.4862 0.6015
```

Entry from Materials Project: a geometry-optimized V2Fe3CoP6O24 structure (PBE with a Hubbard U).

Properties
energy relative to the elements: -84.38 eV per formula unit

Structure (CIF):
```
data_V2Fe3CoP6O24
_space_group_name_H-M_alt 'R 3'
_space_group_IT_number 146
_space_group_name_Hall 'R 3'
_cell_length_a 8.6611
_cell_length_b 8.6611
_cell_length_c 20.2947
_cell_angle_alpha 90.00
_cell_angle_beta 90.00
_cell_angle_gamma 120.00
loop_
_atom_site_label
_atom_site_fract_x
_atom_site_fract_y
_atom_site_fract_z
V1 0.0000 0.0000 0.0000
V2 0.0000 0.0000 0.4980
Fe1 0.0000 0.0000 0.3515
Fe2 0.0000 0.0000 0.6452
Fe3 0.0000 0.0000 0.8524
Co1 0.0000 0.0000 0.1461
P1 0.9997 0.2969 0.2478
P2 0.0003 0.7023 0.7486
O1 0.0104 0.2038 0.3097
O2 0.0095 0.8054 0.8105
O3 0.0114 0.1787 0.9259
O4 0.0110 0.8329 0.4260
O5 0.1384 0.4617 0.8515
O6 0.1381 0.6758 0.3529
O7 0.1659 0.6770 0.7380
O8 0.1667 0.4875 0.2368
```

Entry from Materials Project: a geometry-optimized Fe3Co2P6WO24 structure (PBE with a Hubbard U).

Properties
energy relative to the elements: -81.75 eV per formula unit

Structure (CIF):
```
data_Fe3Co2P6WO24
_space_group_name_H-M_alt 'R 3'
_space_group_IT_number 146
_space_group_name_Hall 'R 3'
_cell_length_a 8.6778
_cell_length_b 8.6778
_cell_length_c 20.8227
_cell_angle_alpha 90.00
_cell_angle_beta 90.00
_cell_angle_gamma 120.00
loop_
_atom_site_label
_atom_site_fract_x
_atom_site_fract_y
_atom_site_fract_z
Fe1 0.0000 0.0000 0.0000
Fe2 0.0000 0.0000 0.2117
Fe3 0.0000 0.0000 0.7138
Co1 0.0000 0.0000 0.3517
Co2 0.0000 0.0000 0.8563
P1 0.0015 0.2982 0.6092
P2 0.0444 0.6721 0.7741
W1 0.0000 0.0000 0.4995
O1 0.0086 0.8083 0.1683
O2 0.0108 0.2009 0.6681
O3 0.0167 0.1835 0.2816
O4 0.0170 0.8346 0.7819
O5 0.1372 0.6677 0.7129
O6 0.1443 0.4675 0.2135
O7 0.1647 0.6791 0.1013
O8 0.1694 0.4819 0.5976
```

Entry from Materials Project: a geometry-optimized SrPrFeCoO6 structure (PBE with a Hubbard U).

Properties
energy relative to the elements: -23.90 eV per formula unit

Structure (CIF):
```
data_SrPrFeCoO6
_space_group_name_H-M_alt 'P 1'
_space_group_IT_number 1
_cell_length_a 5.418
_cell_length_b 5.422
_cell_length_c 5.480
_cell_angle_alpha 119.63
_cell_angle_beta 119.45
_cell_angle_gamma 90.01
loop_
_space_group_symop_operation_xyz
'x,y,z'
loop_
_atom_site_label
_atom_site_fract_x
_atom_site_fract_y
_atom_site_fract_z
Sr1 0.000 0.000 0.000
Pr1 0.500 0.503 0.000
Fe1 0.750 0.250 0.500
Co1 0.251 0.750 0.500
O1 0.003 0.511 0.006
O2 0.057 0.045 0.524
O3 0.459 0.471 0.507
O4 0.497 0.985 0.994
O5 0.527 0.952 0.492
O6 0.956 0.534 0.478
```

Entry from Materials Project: a geometry-optimized Fe2Co3Sb3O16 structure (PBE with a Hubbard U).

Properties
energy relative to the elements: -35.46 eV per formula unit

Structure (CIF):
```
data_Fe2Co3Sb3O16
_space_group_name_H-M_alt 'C 1 m 1'
_space_group_IT_number 8
_cell_length_a 10.242
_cell_length_b 6.010
_cell_length_c 9.023
_cell_angle_alpha 90.00
_cell_angle_beta 91.03
_cell_angle_gamma 90.00
loop_
_space_group_symop_operation_xyz
'x,y,z'
'x,-y,z'
'x+1/2,y+1/2,z'
'x+1/2,-y+1/2,z'
loop_
_atom_site_label
_atom_site_fract_x
_atom_site_fract_y
_atom_site_fract_z
Fe1 0.000 0.000 0.000
Fe2 0.168 0.500 0.517
Co1 0.159 0.000 0.294
Co2 0.241 0.250 0.785
Sb1 0.408 0.253 0.286
Sb2 0.491 0.000 0.784
O1 0.000 0.000 0.405
O2 0.063 0.221 0.157
O3 0.094 0.281 0.657
O4 0.166 0.000 0.882
O5 0.166 0.500 0.895
O6 0.246 0.254 0.401
O7 0.304 0.500 0.671
O8 0.315 0.000 0.179
O9 0.317 0.000 0.677
O10 0.340 0.500 0.153
O11 0.403 0.249 0.892
O12 0.495 0.000 0.401
```

Entry from Materials Project: a geometry-optimized Fe3Co3Sb2O16 structure (PBE with a Hubbard U).

Properties
energy relative to the elements: -32.77 eV per formula unit

Structure (CIF):
```
data_Fe3Co3Sb2O16
_space_group_name_H-M_alt 'C 1 m 1'
_space_group_IT_number 8
_cell_length_a 10.190
_cell_length_b 5.856
_cell_length_c 9.269
_cell_angle_alpha 90.00
_cell_angle_beta 92.18
_cell_angle_gamma 90.00
loop_
_space_group_symop_operation_xyz
'x,y,z'
'x,-y,z'
'x+1/2,y+1/2,z'
'x+1/2,-y+1/2,z'
loop_
_atom_site_label
_atom_site_fract_x
_atom_site_fract_y
_atom_site_fract_z
Fe1 0.000 0.000 0.000
Fe2 0.086 0.252 0.496
Co1 0.252 0.255 0.001
Co2 0.338 0.000 0.505
Sb1 0.331 0.500 0.276
Sb2 0.497 0.000 0.779
O1 0.000 0.000 0.385
O2 0.084 0.245 0.887
O3 0.145 0.500 0.632
O4 0.177 0.000 0.094
O5 0.178 0.000 0.593
O6 0.183 0.500 0.112
O7 0.250 0.248 0.386
O8 0.322 0.500 0.898
O9 0.327 0.000 0.894
O10 0.398 0.270 0.127
O11 0.416 0.218 0.626
O12 0.487 0.000 0.395
```